Entry 1:
VASP calculation (PBE-GGA) on crystalline Na3TiF6 at its relaxed geometry.

Lattice parameters (Å, degrees): 5.891 5.891 5.891 60.00 60.00 60.00
Positions (direct):
Na1 0.250 0.250 0.250
Na2 0.750 0.750 0.750
Na3 0.500 0.500 0.500
Ti1 0.000 0.000 0.000
F1 0.237 0.237 0.763
F2 0.237 0.763 0.763
F3 0.763 0.763 0.237
F4 0.237 0.763 0.237
F5 0.763 0.237 0.763
F6 0.763 0.237 0.237

Properties
As for the space group: Fm-3m. For the formation energy, the calculation gives -3.1652 eV/atom. As for the offset from the most stable computed form: 96.4 meV per atom. For the total energy, the calculation gives -52.231 eV per formula unit. The total moment is 1.001 Bohr magnetons per cell. For the corrected total energy (MP2020 scheme), the calculation gives -5.500 eV/atom.

Entry 2:
VASP calculation (PBE-GGA) on crystalline NaTi3F10 at its relaxed geometry.

Lattice parameters (Å, degrees): 7.696 7.711 8.873 77.50 64.30 60.06
Positions (direct):
Na1 0.986 0.000 0.000
Na2 0.736 0.500 0.500
Ti1 0.505 0.000 0.000
Ti2 0.255 0.500 0.500
Ti3 0.757 0.001 0.501
Ti4 0.258 0.999 0.499
Ti5 0.508 0.499 0.001
Ti6 0.008 0.501 0.999
F1 0.878 0.006 0.268
F2 0.152 0.994 0.732
F3 0.634 0.494 0.768
F4 0.896 0.506 0.232
F5 0.799 0.411 0.007
F6 0.217 0.589 0.993
F7 0.960 0.089 0.507
F8 0.556 0.911 0.493
F9 0.341 0.707 0.496
F10 0.544 0.293 0.504
F11 0.798 0.793 0.996
F12 0.588 0.207 0.004
F13 0.378 0.000 0.251
F14 0.629 0.000 0.749
F15 0.128 0.500 0.751
F16 0.379 0.500 0.249
F17 0.967 0.711 0.503
F18 0.181 0.289 0.497
F19 0.429 0.789 0.003
F20 0.220 0.211 0.997

Properties
As for the space group: Fdd2. For the formation energy, the calculation gives -3.5630 eV/atom. For the total energy, the calculation gives -89.416 eV per formula unit. For the corrected total energy (MP2020 scheme), the calculation gives -6.717 eV/atom.

Entry 3:
VASP calculation (PBE-GGA) on crystalline Na3TiF6 at its relaxed geometry.

Lattice parameters (Å, degrees): 5.726 5.874 8.103 90.00 90.76 90.00
Positions (direct):
Na1 0.500 0.500 0.000
Na2 0.000 0.000 0.500
Na3 0.513 0.949 0.248
Na4 0.487 0.051 0.752
Na5 0.987 0.449 0.252
Na6 0.013 0.551 0.748
Ti1 0.500 0.500 0.500
Ti2 0.000 0.000 0.000
F1 0.677 0.216 0.432
F2 0.323 0.784 0.568
F3 0.823 0.716 0.068
F4 0.177 0.284 0.932
F5 0.387 0.547 0.271
F6 0.613 0.453 0.729
F7 0.113 0.047 0.229
F8 0.887 0.953 0.771
F9 0.788 0.679 0.454
F10 0.212 0.321 0.546
F11 0.712 0.179 0.046
F12 0.288 0.821 0.954

Properties
As for the space group: P2_1/c. For the formation energy, the calculation gives -3.2616 eV/atom. As for the offset from the most stable computed form: 0.0 meV per atom. For the total energy, the calculation gives -53.195 eV per formula unit. For the corrected total energy (MP2020 scheme), the calculation gives -5.597 eV/atom.

Entry 4:
VASP calculation (PBE-GGA) on crystalline Na5Ti3F14 at its relaxed geometry.

Lattice parameters (Å, degrees): 7.601 7.601 10.539 90.00 90.00 90.00
Positions (direct):
Na1 0.000 0.000 0.500
Na2 0.500 0.500 0.000
Na3 0.273 0.773 0.250
Na4 0.727 0.227 0.750
Na5 0.727 0.227 0.250
Na6 0.273 0.773 0.750
Na7 0.227 0.273 0.250
Na8 0.773 0.727 0.750
Na9 0.773 0.727 0.250
Na10 0.227 0.273 0.750
Ti1 0.000 0.000 0.000
Ti2 0.500 0.500 0.500
Ti3 0.000 0.500 0.000
Ti4 0.500 0.000 0.000
Ti5 0.500 0.000 0.500
Ti6 0.000 0.500 0.500
F1 0.000 0.000 0.185
F2 0.000 0.000 0.815
F3 0.500 0.500 0.315
F4 0.500 0.500 0.685
F5 0.073 0.248 0.000
F6 0.927 0.752 0.000
F7 0.752 0.073 0.000
F8 0.248 0.927 0.000
F9 0.427 0.748 0.500
F10 0.573 0.252 0.500
F11 0.748 0.573 0.500
F12 0.252 0.427 0.500
F13 0.189 0.534 0.127
F14 0.811 0.466 0.873
F15 0.811 0.466 0.127
F16 0.189 0.534 0.873
F17 0.466 0.189 0.127
F18 0.534 0.811 0.873
F19 0.534 0.811 0.127
F20 0.466 0.189 0.873
F21 0.311 0.034 0.373
F22 0.689 0.966 0.627
F23 0.689 0.966 0.373
F24 0.311 0.034 0.627
F25 0.034 0.689 0.373
F26 0.966 0.311 0.627
F27 0.966 0.311 0.373
F28 0.034 0.689 0.627

Properties
As for the space group: P4/mnc. For the formation energy, the calculation gives -3.3544 eV/atom. For the total energy, the calculation gives -124.432 eV per formula unit. The total moment is 6.000 Bohr magnetons per cell. For the corrected total energy (MP2020 scheme), the calculation gives -5.950 eV/atom.

Entry 5:
VASP calculation (PBE-GGA) on crystalline Na3TiF8 at its relaxed geometry.

Lattice parameters (Å, degrees): 7.852 7.852 6.676 90.00 90.00 124.35
Positions (direct):
Na1 0.320 0.680 0.750
Na2 0.680 0.320 0.250
Na3 0.355 0.156 0.750
Na4 0.156 0.355 0.250
Na5 0.645 0.844 0.250
Na6 0.844 0.645 0.750
Ti1 0.854 0.146 0.750
Ti2 0.146 0.854 0.250
F1 0.766 0.872 0.750
F2 0.872 0.766 0.250
F3 0.234 0.128 0.250
F4 0.128 0.234 0.750
F5 0.570 0.051 0.750
F6 0.051 0.570 0.250
F7 0.430 0.949 0.250
F8 0.949 0.430 0.750
F9 0.850 0.150 0.036
F10 0.150 0.850 0.964
F11 0.850 0.150 0.464
F12 0.150 0.850 0.536
F13 0.572 0.428 0.975
F14 0.428 0.572 0.025
F15 0.572 0.428 0.525
F16 0.428 0.572 0.475

Properties
As for the space group: Cmcm. For the formation energy, the calculation gives -3.1251 eV/atom. For the total energy, the calculation gives -60.984 eV per formula unit. For the corrected total energy (MP2020 scheme), the calculation gives -5.390 eV/atom.

Entry 6:
VASP calculation (PBE-GGA) on crystalline Na3U6TiF30 at its relaxed geometry.

Lattice parameters (Å, degrees): 9.964 9.964 13.104 90.00 90.00 120.00
Positions (direct):
Na1 0.667 0.333 0.662
Na2 0.667 0.333 0.162
Na3 0.333 0.667 0.338
Na4 0.333 0.667 0.838
Na5 0.000 0.000 0.500
Na6 0.000 0.000 0.000
U1 0.075 0.672 0.601
U2 0.597 0.925 0.601
U3 0.328 0.403 0.601
U4 0.075 0.403 0.101
U5 0.328 0.925 0.101
U6 0.597 0.672 0.101
U7 0.925 0.328 0.399
U8 0.403 0.075 0.399
U9 0.672 0.597 0.399
U10 0.925 0.597 0.899
U11 0.672 0.075 0.899
U12 0.403 0.328 0.899
Ti1 0.000 0.000 0.750
Ti2 0.000 0.000 0.250
F1 0.869 0.565 0.716
F2 0.696 0.131 0.716
F3 0.435 0.304 0.716
F4 0.869 0.304 0.216
F5 0.435 0.131 0.216
F6 0.696 0.565 0.216
F7 0.131 0.435 0.284
F8 0.304 0.869 0.284
F9 0.565 0.696 0.284
F10 0.131 0.696 0.784
F11 0.565 0.869 0.784
F12 0.304 0.435 0.784
F13 0.884 0.693 0.519
F14 0.809 0.116 0.519
F15 0.307 0.191 0.519
F16 0.884 0.191 0.019
F17 0.307 0.116 0.019
F18 0.809 0.693 0.019
F19 0.116 0.307 0.481
F20 0.191 0.884 0.481
F21 0.693 0.809 0.481
F22 0.116 0.809 0.981
F23 0.693 0.884 0.981
F24 0.191 0.307 0.981
F25 0.120 0.587 0.448
F26 0.467 0.880 0.448
F27 0.413 0.533 0.448
F28 0.120 0.533 0.948
F29 0.413 0.880 0.948
F30 0.467 0.587 0.948
F31 0.880 0.413 0.552
F32 0.533 0.120 0.552
F33 0.587 0.467 0.552
F34 0.880 0.467 0.052
F35 0.587 0.120 0.052
F36 0.533 0.413 0.052
F37 0.080 0.900 0.663
F38 0.820 0.920 0.663
F39 0.100 0.180 0.663
F40 0.080 0.180 0.163
F41 0.100 0.920 0.163
F42 0.820 0.900 0.163
F43 0.920 0.100 0.337
F44 0.180 0.080 0.337
F45 0.900 0.820 0.337
F46 0.920 0.820 0.837
F47 0.900 0.080 0.837
F48 0.180 0.100 0.837
F49 0.340 0.829 0.637
F50 0.489 0.660 0.637
F51 0.171 0.511 0.637
F52 0.340 0.511 0.137
F53 0.171 0.660 0.137
F54 0.489 0.829 0.137
F55 0.660 0.171 0.363
F56 0.511 0.340 0.363
F57 0.829 0.489 0.363
F58 0.660 0.489 0.863
F59 0.829 0.340 0.863
F60 0.511 0.171 0.863

Properties
As for the space group: P-3c1. For the formation energy, the calculation gives -3.8097 eV/atom. For the total energy, the calculation gives -275.576 eV per formula unit. For the corrected total energy (MP2020 scheme), the calculation gives -7.236 eV/atom.

> Which of these has the highest corrected total energy (MP2020 scheme)?

Na3TiF8

> The lowest corrected total energy (MP2020 scheme) belongs to which entry?

Na3U6TiF30

> Which formula does entry 2 have?

NaTi3F10